*a*
This record from the Materials Project describes a geometry-optimized MgTi6H4O14 structure. The functional is GGA-PBE.

## Properties
Its space-group type is P1 (1). As for the magnetization: 1.1 μB/f.u. The mass density comes out at 3.3 g/cm3.

Cell: 3.8896 7.7185 9.3718 Å, 76.14 89.38 87.82°
Closest atoms and distances in Å follow each position.
Positions (direct):
Mg: 0.0000 0.0000 0.0000  4 O 1.97-2.17
Ti: 0.4687 0.3712 0.3549  5 O 1.80-2.01
Ti: 0.4820 0.2580 0.0662  5 O 1.80-2.02
Ti: 0.4963 0.1661 0.7456  4 O 1.84-2.04
Ti: 0.9438 0.6549 0.3909  5 O 1.90-2.09
Ti: 0.9608 0.5749 0.0842  2 O 1.78-1.87
Ti: 0.9742 0.4385 0.7835  1 O 1.77
H: 0.3251 0.8217 0.7314  1 O 0.98
H: 0.7082 0.7916 0.7900  1 O 1.04
H: 0.7162 0.0049 0.3631  1 O 1.02
H: 0.7398 0.8994 0.5322  1 O 0.99
O: 0.4471 0.6250 0.3715  3 Ti 1.97-2.00
O: 0.4640 0.5038 0.1053  3 Ti 2.01-2.02
O: 0.4763 0.3934 0.8215  3 Ti 1.99-2.04
O: 0.4854 0.2478 0.5439  2 Ti 1.80-1.84
O: 0.4955 0.0526 0.9786  2 Ti 1.95-2.15, 2 Mg 1.98-1.99
O: 0.4983 0.1652 0.2617  1 H 1.59
O: 0.5412 0.8854 0.7240  2 H 0.98-1.04
O: 0.8463 0.9048 0.4350  2 H 0.99-1.02
O: 0.9565 0.6491 0.8796  1 H 1.53
O: 0.9592 0.7736 0.1499  1 Ti 1.78, 1 Mg 1.97
O: 0.9610 0.5597 0.5970  2 Ti 1.77-1.90
O: 0.9655 0.4259 0.3113  4 Ti 2.01-2.16
O: 0.9812 0.2845 0.0309  2 Ti 1.97-1.98
O: 0.9949 0.1590 0.7750  3 Ti 1.96-2.18, 1 Mg 2.17

*b*
This record from the Materials Project describes a geometry-optimized MgTi6H4O14 structure. The functional is GGA-PBE.

## Properties
Its space-group type is P1 (1). As for the magnetization: 2.0 μB/f.u. The mass density comes out at 3.0 g/cm3.

Cell: 3.8302 8.3367 9.6291 Å, 101.75 90.08 100.45°
Closest atoms and distances in Å follow each position.
Positions (direct):
Mg: 0.0000 0.0000 0.0000  5 O 1.96-2.06
Ti: 0.4799 0.9498 0.7795  5 O 1.90-2.08
Ti: 0.5273 0.0635 0.4997  4 O 1.80-2.01
Ti: 0.5623 0.1586 0.2214  4 O 1.89-2.06
Ti: 0.8615 0.6609 0.8342  5 O 1.93-2.15
Ti: 0.8987 0.7448 0.5298  2 O 1.77-1.84
Ti: 0.9445 0.8565 0.2457  4 O 1.81-2.01
H: 0.0572 0.4005 0.8917  1 O 0.98
H: 0.6889 0.4039 0.0720  1 O 0.98
H: 0.7060 0.3026 0.7944  1 O 1.08
H: 0.7336 0.5021 0.2405  1 O 1.04
O: 0.0422 0.1076 0.2015  1 Mg 1.96, 3 Ti 1.96-2.19
O: 0.3847 0.7047 0.8398  2 Ti 1.93-1.97
O: 0.4294 0.8213 0.5695  4 Ti 2.03-2.22
O: 0.4708 0.9244 0.2822  4 Ti 2.00-2.17
O: 0.5258 0.0651 0.9839  1 Ti 2.00, 2 Mg 2.00
O: 0.5653 0.1446 0.7010  1 H 1.45
O: 0.5963 0.2427 0.4195  2 Ti 1.80-1.89
O: 0.6453 0.3899 0.1698  2 H 0.98-1.04
O: 0.8131 0.4120 0.8733  2 H 0.98-1.08
O: 0.8354 0.5859 0.6290  2 Ti 1.77-1.94
O: 0.8632 0.6670 0.3360  1 H 1.49
O: 0.9103 0.7708 0.0567  1 Ti 1.81
O: 0.9625 0.9028 0.7873  3 Ti 1.95-2.12, 1 Mg 2.04
O: 0.9981 0.9908 0.4777  3 Ti 2.00-2.18

Which structure is most stable? *a*, by 4.9 kJ/mol of atoms over the runner-up.

*a*
This record from the Materials Project describes a geometry-optimized BaYF5 structure. The functional is GGA-PBE.

## Properties
Its space-group type is C2/c (15). As for the magnetization: 0.0 μB/f.u. The mass density comes out at 3.5 g/cm3.

Cell: 6.4187 6.4187 8.7021 Å, 110.40 110.40 71.50°
Closest atoms and distances in Å follow each position.
Positions (direct):
Ba: 0.0422 0.9578 0.7500  6 F 2.57-2.76
Ba: 0.9578 0.0422 0.2500  6 F 2.57-2.76
Y: 0.5000 0.5000 0.0000  6 F 2.15-2.25
Y: 0.5000 0.5000 0.5000  6 F 2.15-2.25
F: 0.1969 0.7803 0.0273  1 Y 2.21
F: 0.2197 0.8031 0.4727  1 Y 2.21
F: 0.2495 0.2948 0.3812  1 Y 2.15
F: 0.2948 0.2495 0.8812  1 Y 2.15
F: 0.4255 0.5745 0.7500  2 Y 2.25
F: 0.5745 0.4255 0.2500  2 Y 2.25
F: 0.7052 0.7505 0.1188  1 Y 2.15
F: 0.7505 0.7052 0.6188  1 Y 2.15
F: 0.7803 0.1969 0.5273  1 Y 2.21
F: 0.8031 0.2197 0.9727  1 Y 2.21

*b*
This record from the Materials Project describes a geometry-optimized BaYF5 structure. The functional is GGA-PBE.

## Properties
Its space-group type is P-1 (2). As for the magnetization: 0.0 μB/f.u. The mass density comes out at 4.9 g/cm3.

Cell: 7.5474 8.7635 11.0193 Å, 77.94 75.50 68.95°
Closest atoms and distances in Å follow each position.
Positions (direct):
Ba: 0.2088 0.0047 0.2772  8 F 2.64-2.88
Ba: 0.2403 0.6385 0.5701  7 F 2.55-2.80
Ba: 0.2751 0.2978 0.9399  7 F 2.70-2.95
Ba: 0.7249 0.7022 0.0601  7 F 2.70-2.95
Ba: 0.7597 0.3615 0.4299  7 F 2.55-2.80
Ba: 0.7912 0.9953 0.7228  8 F 2.64-2.88
Y: 0.2164 0.5213 0.2411  8 F 2.21-2.41
Y: 0.2427 0.8355 0.9270  8 F 2.16-2.40
Y: 0.2716 0.1545 0.5839  7 F 2.21-2.45
Y: 0.7284 0.8455 0.4161  7 F 2.21-2.45
Y: 0.7573 0.1645 0.0730  8 F 2.16-2.40
Y: 0.7836 0.4787 0.7589  8 F 2.21-2.41
F: 0.0819 0.7410 0.3611  2 Y 2.34-2.45, 1 F 2.61
F: 0.1045 0.0622 0.0436  2 Y 2.36-2.40
F: 0.1251 0.3910 0.7144  2 Y 2.36-2.53, 1 F 2.61
F: 0.1256 0.6167 0.0402  2 Y 2.38
F: 0.1415 0.3583 0.4313  2 Y 2.30-2.34
F: 0.1481 0.3200 0.1892  1 Y 2.22
F: 0.1587 0.9746 0.5391  1 Y 2.23
F: 0.1767 0.7570 0.7749  1 Y 2.16
F: 0.1800 0.0651 0.7859  2 Y 2.22-2.25
F: 0.3357 0.7426 0.1291  2 Y 2.39-2.41, 1 F 2.68
F: 0.4311 0.4855 0.3578  1 Y 2.21
F: 0.4649 0.0837 0.3904  2 Y 2.32-2.33
F: 0.4888 0.3845 0.1135  2 Y 2.26
F: 0.4892 0.9387 0.9001  1 Y 2.28
F: 0.4979 0.2390 0.6156  1 Y 2.21
F: 0.5021 0.7610 0.3844  1 Y 2.21
F: 0.5108 0.0613 0.0999  1 Y 2.28
F: 0.5112 0.6155 0.8865  2 Y 2.26
F: 0.5351 0.9163 0.6096  2 Y 2.32-2.33
F: 0.5689 0.5145 0.6422  1 Y 2.21
F: 0.6643 0.2574 0.8709  2 Y 2.39-2.41, 1 F 2.68
F: 0.8200 0.9349 0.2141  2 Y 2.22-2.25
F: 0.8233 0.2430 0.2251  1 Y 2.16
F: 0.8413 0.0254 0.4609  1 Y 2.23
F: 0.8519 0.6800 0.8108  1 Y 2.22
F: 0.8585 0.6417 0.5687  2 Y 2.30-2.34
F: 0.8744 0.3833 0.9598  2 Y 2.38
F: 0.8749 0.6090 0.2856  2 Y 2.36-2.53, 1 F 2.61
F: 0.8955 0.9378 0.9564  2 Y 2.36-2.40
F: 0.9181 0.2590 0.6389  2 Y 2.34-2.45, 1 F 2.61

Which structure is most stable? *b*, by 2.5 kJ/mol of atoms over the runner-up.